NaMn2O4 | PBE+U | optimized geometry

The value obtained for the energy above the lowest structure with this stoichiometry is 117 meV per atom. The energy relative to the elements is -1.864 eV per atom. The value obtained for the total magnetic moment is 7.0 μB/f.u. As for the energy: -6.629 eV/atom.

The space group is Fd-3m (No. 227, origin choice 2) and the conventional cell measures 8.460, 8.460 and 8.460 Å, with angles of 90.00, 90.00 and 90.00 degrees. The distinct sites, in fractional coordinates, are Na at (0.125, 0.125, 0.125), Mn at (0.000, 0.000, 0.500) and O at (0.020, 0.020, 0.730).